(1)
Compound: Na6La5Ta3P12O48
Source: the Materials Project
Functional: PBE
Structure: optimized geometry

POSCAR file:
```
Na6La5Ta3P12O48
1.0
9.301 0.000 0.000
-0.014 16.117 0.000
-0.026 -0.022 23.661
Na La Ta P O
18 15 9 36 144
Direct
0.000 0.000 0.000
0.000 0.668 0.833
0.012 0.667 0.332
0.017 0.333 0.664
0.311 0.319 0.247
0.370 0.998 0.247
0.489 0.167 0.833
0.492 0.828 0.665
0.494 0.826 0.158
0.501 0.500 0.000
0.505 0.498 0.499
0.512 0.167 0.333
0.635 0.996 0.750
0.692 0.322 0.749
0.811 0.819 0.247
0.870 0.498 0.248
0.993 0.327 0.159
0.997 0.003 0.501
0.005 0.003 0.643
0.010 0.335 0.815
0.013 0.668 0.175
0.486 0.168 0.678
0.495 0.829 0.319
0.497 0.826 0.814
0.498 0.503 0.141
0.500 0.167 0.479
0.500 0.500 0.642
0.501 0.167 0.978
0.513 0.167 0.175
0.996 0.328 0.319
0.998 0.003 0.141
0.998 0.668 0.477
0.999 0.668 0.979
0.002 0.667 0.682
0.003 0.335 0.010
0.005 0.998 0.852
0.499 0.502 0.354
0.499 0.505 0.852
0.502 0.831 0.515
0.502 0.835 0.010
0.998 0.337 0.513
0.999 0.003 0.355
0.128 0.516 0.581
0.133 0.179 0.914
0.136 0.859 0.254
0.153 0.142 0.254
0.166 0.479 0.914
0.166 0.807 0.582
0.185 0.177 0.575
0.204 0.844 0.914
0.212 0.504 0.254
0.292 0.005 0.753
0.298 0.344 0.414
0.315 0.677 0.075
0.331 0.319 0.079
0.337 0.641 0.748
0.338 0.975 0.415
0.359 0.006 0.078
0.367 0.678 0.417
0.368 0.356 0.753
0.635 0.681 0.914
0.636 0.358 0.253
0.644 0.007 0.579
0.653 0.642 0.254
0.663 0.976 0.911
0.668 0.320 0.578
0.704 0.345 0.911
0.709 0.679 0.582
0.713 0.004 0.255
0.790 0.511 0.749
0.796 0.844 0.414
0.815 0.177 0.075
0.830 0.819 0.079
0.837 0.478 0.412
0.848 0.142 0.753
0.858 0.506 0.079
0.866 0.180 0.417
0.870 0.850 0.748
0.050 0.429 0.573
0.053 0.092 0.908
0.054 0.774 0.255
0.061 0.568 0.634
0.065 0.232 0.964
0.077 0.105 0.577
0.078 0.912 0.306
0.095 0.088 0.307
0.097 0.773 0.922
0.098 0.261 0.563
0.099 0.102 0.200
0.100 0.772 0.529
0.101 0.233 0.255
0.103 0.906 0.200
0.104 0.445 0.860
0.106 0.566 0.529
0.111 0.227 0.860
0.113 0.567 0.923
0.114 0.927 0.909
0.115 0.425 0.258
0.115 0.895 0.592
0.116 0.582 0.255
0.121 0.746 0.635
0.123 0.417 0.964
0.163 0.323 0.064
0.164 0.645 0.738
0.167 0.979 0.410
0.181 0.004 0.806
0.181 0.354 0.463
0.197 0.988 0.080
0.206 0.342 0.755
0.207 0.000 0.699
0.209 0.660 0.424
0.211 0.664 0.027
0.222 0.333 0.357
0.234 0.692 0.132
0.267 0.192 0.631
0.287 0.164 0.526
0.287 0.499 0.590
0.287 0.832 0.860
0.292 0.162 0.922
0.300 0.494 0.201
0.301 0.851 0.256
0.317 0.852 0.965
0.320 0.141 0.256
0.322 0.506 0.307
0.337 0.482 0.907
0.337 0.810 0.573
0.348 0.273 0.137
0.378 0.587 0.802
0.382 0.086 0.757
0.383 0.912 0.464
0.385 0.408 0.080
0.385 0.725 0.362
0.387 0.730 0.753
0.388 0.428 0.410
0.393 0.063 0.424
0.394 0.067 0.032
0.395 0.945 0.358
0.399 0.931 0.755
0.401 0.603 0.696
0.402 0.273 0.423
0.404 0.271 0.032
0.404 0.399 0.698
0.405 0.759 0.064
0.420 0.037 0.137
0.422 0.605 0.078
0.427 0.414 0.804
0.436 0.731 0.467
0.437 0.921 0.064
0.450 0.593 0.411
0.455 0.273 0.757
0.550 0.596 0.907
0.555 0.274 0.255
0.561 0.921 0.564
0.566 0.733 0.964
0.578 0.412 0.306
0.582 0.037 0.636
0.595 0.588 0.306
0.597 0.272 0.531
0.598 0.275 0.921
0.599 0.602 0.200
0.601 0.733 0.255
0.602 0.609 0.591
0.603 0.405 0.199
0.604 0.943 0.855
0.609 0.065 0.531
0.610 0.064 0.921
0.614 0.410 0.577
0.615 0.430 0.904
0.616 0.082 0.255
0.616 0.925 0.258
0.618 0.728 0.860
0.618 0.762 0.572
0.618 0.915 0.961
0.653 0.275 0.636
0.663 0.824 0.064
0.666 0.480 0.409
0.678 0.848 0.463
0.681 0.140 0.756
0.682 0.522 0.802
0.696 0.488 0.080
0.702 0.494 0.697
0.707 0.838 0.755
0.708 0.161 0.425
0.711 0.163 0.027
0.721 0.833 0.357
0.734 0.192 0.132
0.780 0.332 0.855
0.793 0.660 0.923
0.794 0.664 0.529
0.801 0.351 0.256
0.801 0.994 0.201
0.805 0.986 0.580
0.820 0.353 0.960
0.820 0.641 0.256
0.821 0.687 0.634
0.822 0.006 0.307
0.834 0.978 0.905
0.836 0.324 0.563
0.847 0.774 0.137
0.882 0.224 0.361
0.885 0.417 0.462
0.885 0.592 0.739
0.885 0.909 0.080
0.885 0.929 0.411
0.888 0.435 0.758
0.890 0.566 0.421
0.891 0.904 0.697
0.893 0.446 0.356
0.893 0.566 0.032
0.900 0.232 0.756
0.901 0.774 0.422
0.902 0.103 0.699
0.904 0.259 0.063
0.904 0.771 0.032
0.905 0.083 0.804
0.920 0.537 0.137
0.922 0.105 0.078
0.935 0.236 0.465
0.935 0.420 0.064
0.935 0.898 0.802
0.945 0.762 0.738
0.950 0.094 0.412
```

Computed properties:
Corrected total energy (MP2020 scheme) = -8.043 eV/atom
Magnetic moment = 0.000 μB/atom
SG = P1 (1)

=====

(2)
Compound: TbGaI
Source: the Materials Project
Functional: PBE
Structure: optimized geometry

POSCAR file:
```
TbGaI
1.0
4.209 0.000 0.000
-2.105 3.645 0.000
0.000 0.000 11.686
Tb Ga I
2 2 2
Direct
0.000 0.000 0.174
0.000 0.000 0.826
0.333 0.667 0.030
0.667 0.333 0.970
0.333 0.667 0.655
0.667 0.333 0.345
```

Computed properties:
Corrected total energy (MP2020 scheme) = -4.238 eV/atom
SG = P-3m1 (164)

=====

(3)
Compound: Rb2O
Source: the Materials Project
Functional: PBE
Structure: optimized geometry

POSCAR file:
```
Rb2O
1.0
6.433 0.000 0.000
0.000 6.632 0.000
0.000 0.000 4.382
Rb O
4 2
Direct
0.147 0.224 0.000
0.353 0.724 0.500
0.647 0.276 0.500
0.853 0.776 0.000
0.000 0.000 0.500
0.500 0.500 0.000
```

Computed properties:
Corrected total energy (MP2020 scheme) = -3.420 eV/atom
Magnetic moment = 0.000 μB/atom
SG = Pnnm (58)

=====

(4)
Compound: Sc3Te4
Source: the Materials Project
Functional: PBE
Structure: optimized geometry

POSCAR file:
```
Sc3Te4
1.0
2.078 1.200 14.017
-2.078 1.200 14.017
0.000 -2.400 14.017
Sc Te
3 4
Direct
0.000 0.000 0.000
0.087 0.087 0.087
0.581 0.581 0.581
0.292 0.292 0.292
0.457 0.457 0.457
0.708 0.708 0.708
0.877 0.877 0.877
```

Computed properties:
Corrected total energy (MP2020 scheme) = -5.930 eV/atom
Magnetic moment = 0.010 μB/atom
SG = R3m (160)

=====

(5)
Compound: UNb3O10
Source: the Materials Project
Functional: PBE
Structure: optimized geometry

POSCAR file:
```
UNb3O10
1.0
0.000 6.523 8.088
3.763 0.000 8.088
3.763 6.523 0.000
U Nb O
2 6 20
Direct
0.125 0.125 0.125
0.875 0.875 0.875
0.136 0.136 0.614
0.375 0.375 0.375
0.386 0.386 0.864
0.614 0.614 0.136
0.625 0.625 0.625
0.864 0.864 0.386
0.009 0.009 0.241
0.077 0.677 0.471
0.078 0.672 0.078
0.241 0.241 0.009
0.251 0.251 0.499
0.275 0.471 0.677
0.323 0.923 0.725
0.328 0.922 0.328
0.471 0.275 0.077
0.499 0.499 0.251
0.501 0.501 0.749
0.529 0.725 0.923
0.672 0.078 0.672
0.677 0.077 0.275
0.725 0.529 0.323
0.749 0.749 0.501
0.759 0.759 0.991
0.922 0.328 0.922
0.923 0.323 0.529
0.991 0.991 0.759
```

Computed properties:
Corrected total energy (MP2020 scheme) = -9.695 eV/atom
Magnetic moment = 0.071 μB/atom
SG = Fddd (70)

=====

(6)
Compound: ErFeC2
Source: the Materials Project
Functional: PBE
Structure: optimized geometry

POSCAR file:
```
ErFeC2
1.0
3.566 0.000 0.000
0.000 2.268 2.950
0.000 -2.268 2.950
Er Fe C
1 1 2
Direct
0.000 0.000 0.000
0.500 0.608 0.608
0.500 0.139 0.448
0.500 0.448 0.139
```

Computed properties:
SG = Amm2 (38)

=====

(7)
Compound: Mg6ZrMn
Source: the Materials Project
Functional: PBE
Structure: optimized geometry

POSCAR file:
```
Mg6ZrMn
1.0
4.929 0.000 0.000
0.000 6.232 0.000
0.000 0.000 11.186
Mg Mn Zr
12 2 2
Direct
0.500 0.242 0.923
0.500 0.000 0.166
0.000 0.244 0.580
0.500 0.742 0.423
0.500 0.258 0.423
0.000 0.256 0.080
0.000 0.744 0.080
0.000 0.000 0.329
0.000 0.756 0.580
0.500 0.758 0.923
0.000 0.500 0.829
0.500 0.500 0.666
0.000 0.500 0.313
0.000 0.000 0.813
0.500 0.000 0.686
0.500 0.500 0.186
```

Computed properties:
E above lowest polymorph = 0.000 eV per atom
Magnetic moment = 0.335 μB/atom

=====

(8)
Compound: Ti2AlGe3
Source: the Materials Project
Functional: PBE
Structure: optimized geometry

POSCAR file:
```
Ti2AlGe3
1.0
3.698 0.000 0.000
0.000 1.849 7.042
0.000 -1.849 7.042
Ti Al Ge
2 1 3
Direct
0.000 0.000 0.000
0.500 0.198 0.198
0.000 0.348 0.348
0.000 0.666 0.666
0.500 0.533 0.533
0.500 0.850 0.850
```

Computed properties:
SG = Amm2 (38)

=====

(9)
Compound: Cs2ScHgF6
Source: the Materials Project
Functional: PBE
Structure: optimized geometry

POSCAR file:
```
Cs2ScHgF6
1.0
0.000 4.689 4.689
4.689 0.000 4.689
4.689 4.689 0.000
Cs Sc Hg F
2 1 1 6
Direct
0.250 0.250 0.250
0.750 0.750 0.750
0.000 0.000 0.000
0.500 0.500 0.500
0.218 0.218 0.782
0.218 0.782 0.218
0.218 0.782 0.782
0.782 0.218 0.218
0.782 0.218 0.782
0.782 0.782 0.218
```

Computed properties:
Corrected total energy (MP2020 scheme) = -5.119 eV/atom
Magnetic moment = 0.100 μB/atom
SG = Fm-3m (225)

=====

(10)
Compound: Ti2Co3Ge
Source: the Materials Project
Functional: PBE
Structure: optimized geometry

POSCAR file:
```
Ti2Co3Ge
1.0
4.933 0.000 0.000
-2.466 4.272 0.000
0.000 0.000 4.034
Ti Co Ge
2 3 1
Direct
0.000 0.000 0.000
0.333 0.667 0.574
0.502 0.005 0.080
0.502 0.498 0.080
0.995 0.498 0.080
0.667 0.333 0.579
```

Computed properties:
Magnetic moment = 0.000 μB/atom
SG = P3m1 (156)

=====

(11)
Compound: Y2TlIn
Source: the Materials Project
Functional: PBE
Structure: optimized geometry

POSCAR file:
```
Y2TlIn
1.0
0.000 3.790 3.790
3.790 0.000 3.790
3.790 3.790 0.000
Y Tl In
2 1 1
Direct
0.250 0.250 0.250
0.750 0.750 0.750
0.000 0.000 0.000
0.500 0.500 0.500
```

Computed properties:
SG = Fm-3m (225)

=====

In the order shown, the computed calculated volume values come out to 15.98; 29.88; 31.16; 29.97; 14.18; 11.93; 21.48; 16.05; 20.62; 14.17; 27.23 Å³ per atom.
In the order shown, the computed ΔH_f (0 K) values come out to -3034; -1176; -1117; -1420; -3190; -278; 122; -463; -3127; -276; -431 meV per atom.